{
  "formula": "AlPO4",
  "functional": "GGA-PBE",
  "state": "relaxed",
  "total_energy_ev_per_fu": -44.87,
  "cell": [[-3.836, -7.416, -2.123], [8.056, -6.834, 9.318], [-16.727, 3.728, 17.196]],
  "species": ["O", "O", "O", "O", "O", "O", "O", "O", "O", "O", "O", "O", "O", "O", "O", "O", "O", "O", "O", "O", "O", "O", "O", "O", "O", "O", "O", "O", "O", "O", "O", "O", "O", "O", "O", "O", "O", "O", "O", "O", "O", "O", "O", "O", "O", "O", "O", "O", "O", "O", "O", "O", "O", "O", "O", "O", "O", "O", "O", "O", "O", "O", "O", "O", "O", "O", "O", "O", "O", "O", "O", "O", "O", "O", "O", "O", "O", "O", "O", "O", "O", "O", "O", "O", "O", "O", "O", "O", "O", "O", "O", "O", "O", "O", "O", "O", "P", "P", "P", "P", "P", "P", "P", "P", "P", "P", "P", "P", "P", "P", "P", "P", "P", "P", "P", "P", "P", "P", "P", "P", "Al", "Al", "Al", "Al", "Al", "Al", "Al", "Al", "Al", "Al", "Al", "Al", "Al", "Al", "Al", "Al", "Al", "Al", "Al", "Al", "Al", "Al", "Al", "Al"],
  "frac_coords": [[0.956, 0.508, 0.077], [0.477, 0.314, 0.679], [0.008, 0.328, 0.681], [0.225, 0.391, 0.740], [0.524, 0.867, 0.505], [0.981, 0.310, 0.320], [0.227, 0.127, 0.546], [0.024, 0.367, 0.995], [0.960, 0.370, 0.781], [0.001, 0.360, 0.206], [0.513, 0.363, 0.793], [0.977, 0.186, 0.179], [0.508, 0.828, 0.819], [0.460, 0.870, 0.719], [0.980, 0.186, 0.392], [0.493, 0.811, 0.394], [0.005, 0.503, 0.289], [0.501, 0.140, 0.706], [0.956, 0.492, 0.923], [0.505, 0.678, 0.684], [0.479, 0.633, 0.785], [0.227, 0.873, 0.454], [0.725, 0.891, 0.760], [0.461, 0.628, 0.995], [0.005, 0.497, 0.711], [0.013, 0.137, 0.293], [0.227, 0.429, 0.930], [0.008, 0.672, 0.319], [0.726, 0.773, 0.336], [0.479, 0.367, 0.215], [0.513, 0.824, 0.605], [0.456, 0.992, 0.577], [0.226, 0.727, 0.836], [0.460, 0.130, 0.281], [0.961, 0.872, 0.495], [0.725, 0.109, 0.240], [0.505, 0.322, 0.316], [0.977, 0.814, 0.821], [0.480, 0.686, 0.108], [0.987, 0.992, 0.211], [0.493, 0.189, 0.606], [0.726, 0.601, 0.734], [0.227, 0.777, 0.657], [0.979, 0.867, 0.285], [0.524, 0.133, 0.495], [0.005, 0.822, 0.184], [0.505, 0.997, 0.789], [0.456, 0.008, 0.423], [0.961, 0.128, 0.505], [0.028, 0.009, 0.580], [0.013, 0.863, 0.707], [0.013, 0.324, 0.895], [0.999, 0.817, 0.399], [0.487, 0.508, 0.711], [0.227, 0.223, 0.343], [0.481, 0.190, 0.820], [0.727, 0.627, 0.954], [0.999, 0.183, 0.601], [0.960, 0.630, 0.219], [0.226, 0.899, 0.234], [0.726, 0.399, 0.266], [0.001, 0.640, 0.794], [0.727, 0.071, 0.430], [0.987, 0.008, 0.789], [0.024, 0.633, 0.005], [0.461, 0.372, 0.005], [0.508, 0.172, 0.181], [0.226, 0.101, 0.766], [0.487, 0.492, 0.289], [0.226, 0.273, 0.164], [0.993, 0.311, 0.106], [0.726, 0.227, 0.664], [0.727, 0.929, 0.570], [0.028, 0.991, 0.420], [0.499, 0.683, 0.899], [0.513, 0.637, 0.207], [0.981, 0.690, 0.680], [0.225, 0.609, 0.260], [0.505, 0.003, 0.211], [0.005, 0.178, 0.816], [0.528, 0.491, 0.080], [0.499, 0.317, 0.101], [0.501, 0.860, 0.294], [0.013, 0.676, 0.105], [0.480, 0.314, 0.892], [0.477, 0.686, 0.321], [0.980, 0.814, 0.608], [0.513, 0.176, 0.395], [0.528, 0.509, 0.920], [0.227, 0.571, 0.070], [0.979, 0.133, 0.715], [0.481, 0.810, 0.180], [0.727, 0.373, 0.046], [0.727, 0.277, 0.843], [0.993, 0.689, 0.894], [0.727, 0.723, 0.157], [0.549, 0.217, 0.664], [0.054, 0.111, 0.558], [0.549, 0.605, 0.729], [0.050, 0.397, 0.728], [0.050, 0.603, 0.272], [0.049, 0.105, 0.771], [0.050, 0.786, 0.663], [0.550, 0.897, 0.772], [0.550, 0.714, 0.163], [0.554, 0.611, 0.942], [0.554, 0.389, 0.058], [0.055, 0.597, 0.064], [0.049, 0.283, 0.164], [0.050, 0.214, 0.337], [0.055, 0.403, 0.936], [0.549, 0.395, 0.271], [0.550, 0.103, 0.228], [0.049, 0.717, 0.836], [0.555, 0.903, 0.564], [0.549, 0.783, 0.336], [0.049, 0.895, 0.229], [0.054, 0.889, 0.442], [0.555, 0.097, 0.436], [0.550, 0.286, 0.837], [0.425, 0.405, 0.937], [0.927, 0.607, 0.730], [0.428, 0.283, 0.165], [0.925, 0.895, 0.769], [0.428, 0.717, 0.835], [0.928, 0.783, 0.335], [0.926, 0.288, 0.834], [0.927, 0.393, 0.270], [0.426, 0.788, 0.666], [0.925, 0.105, 0.231], [0.926, 0.611, 0.943], [0.925, 0.905, 0.563], [0.427, 0.893, 0.230], [0.427, 0.107, 0.770], [0.928, 0.217, 0.665], [0.426, 0.889, 0.443], [0.926, 0.389, 0.057], [0.925, 0.095, 0.437], [0.425, 0.595, 0.063], [0.426, 0.111, 0.557], [0.426, 0.212, 0.334], [0.926, 0.712, 0.166], [0.425, 0.605, 0.269], [0.425, 0.395, 0.731]]
}